Density functional theory data (GGA-PBE) for a geometry-optimized Tb2Ni15B9 structure.

Cell: 9.8140 9.8140 11.2519 Å, 90.00 90.00 72.21°
Element x y z (fractional)
Tb (0.1923, 0.3077, 0.2500)
Tb (0.2405, 0.7595, 0.9585)
Tb (0.2595, 0.7405, 0.4585)
Tb (0.3077, 0.1923, 0.7500)
Tb (0.6923, 0.8077, 0.2500)
Tb (0.7405, 0.2595, 0.5415)
Tb (0.7595, 0.2405, 0.0415)
Tb (0.8077, 0.6923, 0.7500)
Ni (0.0000, 0.0000, 0.0000)
Ni (0.0000, 0.0000, 0.5000)
Ni (0.0055, 0.2266, 0.8816)
Ni (0.0097, 0.1834, 0.6604)
Ni (0.0110, 0.8308, 0.8061)
Ni (0.0284, 0.7569, 0.5975)
Ni (0.0534, 0.6063, 0.9149)
Ni (0.0686, 0.4314, 0.7500)
Ni (0.1063, 0.5534, 0.4149)
Ni (0.1365, 0.3380, 0.5296)
Ni (0.1620, 0.3635, 0.9704)
Ni (0.1692, 0.9890, 0.8061)
Ni (0.1834, 0.0097, 0.3396)
Ni (0.2266, 0.0055, 0.1184)
Ni (0.2337, 0.7663, 0.2117)
Ni (0.2431, 0.9716, 0.5975)
Ni (0.2569, 0.5284, 0.0975)
Ni (0.2663, 0.7337, 0.7117)
Ni (0.2734, 0.4945, 0.6184)
Ni (0.3166, 0.4903, 0.8396)
Ni (0.3308, 0.5110, 0.3061)
Ni (0.3380, 0.1365, 0.4704)
Ni (0.3635, 0.1620, 0.0296)
Ni (0.3937, 0.9466, 0.9149)
Ni (0.4314, 0.0686, 0.2500)
Ni (0.4466, 0.8937, 0.4149)
Ni (0.4716, 0.7431, 0.0975)
Ni (0.4890, 0.6692, 0.3061)
Ni (0.4903, 0.3166, 0.1604)
Ni (0.4945, 0.2734, 0.3816)
Ni (0.5000, 0.5000, 0.0000)
Ni (0.5000, 0.5000, 0.5000)
Ni (0.5055, 0.7266, 0.6184)
Ni (0.5097, 0.6834, 0.8396)
Ni (0.5110, 0.3308, 0.6939)
Ni (0.5284, 0.2569, 0.9025)
Ni (0.5534, 0.1063, 0.5851)
Ni (0.5686, 0.9314, 0.7500)
Ni (0.6063, 0.0534, 0.0851)
Ni (0.6365, 0.8380, 0.9704)
Ni (0.6620, 0.8635, 0.5296)
Ni (0.6692, 0.4890, 0.6939)
Ni (0.6834, 0.5097, 0.1604)
Ni (0.7266, 0.5055, 0.3816)
Ni (0.7337, 0.2663, 0.2883)
Ni (0.7431, 0.4716, 0.9025)
Ni (0.7569, 0.0284, 0.4025)
Ni (0.7663, 0.2337, 0.7883)
Ni (0.7734, 0.9945, 0.8816)
Ni (0.8166, 0.9903, 0.6604)
Ni (0.8308, 0.0110, 0.1939)
Ni (0.8380, 0.6365, 0.0296)
Ni (0.8635, 0.6620, 0.4704)
Ni (0.8937, 0.4466, 0.5851)
Ni (0.9314, 0.5686, 0.2500)
Ni (0.9466, 0.3937, 0.0851)
Ni (0.9716, 0.2431, 0.4025)
Ni (0.9890, 0.1692, 0.1939)
Ni (0.9903, 0.8166, 0.3396)
Ni (0.9945, 0.7734, 0.1184)
B (0.0474, 0.9526, 0.6717)
B (0.0489, 0.5509, 0.0998)
B (0.0509, 0.5489, 0.5998)
B (0.0563, 0.9437, 0.1999)
B (0.0919, 0.2021, 0.0500)
B (0.1197, 0.6223, 0.2444)
B (0.1223, 0.6197, 0.7444)
B (0.1353, 0.1353, 0.5000)
B (0.2021, 0.0919, 0.9500)
B (0.2979, 0.4081, 0.4500)
B (0.3647, 0.3647, 0.0000)
B (0.3777, 0.8803, 0.2444)
B (0.3803, 0.8777, 0.7444)
B (0.4081, 0.2979, 0.5500)
B (0.4437, 0.5563, 0.6999)
B (0.4491, 0.9511, 0.0998)
B (0.4511, 0.9491, 0.5998)
B (0.4526, 0.5474, 0.1717)
B (0.5474, 0.4526, 0.8283)
B (0.5489, 0.0509, 0.4002)
B (0.5509, 0.0489, 0.9002)
B (0.5563, 0.4437, 0.3001)
B (0.5919, 0.7021, 0.4500)
B (0.6197, 0.1223, 0.2556)
B (0.6223, 0.1197, 0.7556)
B (0.6353, 0.6353, 0.0000)
B (0.7021, 0.5919, 0.5500)
B (0.7979, 0.9081, 0.0500)
B (0.8647, 0.8647, 0.5000)
B (0.8777, 0.3803, 0.2556)
B (0.8803, 0.3777, 0.7556)
B (0.9081, 0.7979, 0.9500)
B (0.9437, 0.0563, 0.8001)
B (0.9491, 0.4511, 0.4002)
B (0.9511, 0.4491, 0.9002)
B (0.9526, 0.0474, 0.3283)

Formation energy from the elements: -0.410 eV per atom
Symmetry: No. 64
M_tot: 0.00 μB/f.u.